(1)
A geometry-optimized KTiO3 structure. Source: the Materials Project, functional PBE.

It has space group P4mm (No. 99), with a = 3.692 Å, b = 3.692 Å, c = 5.767 Å, α = 90.00°, β = 90.00° and γ = 90.00°. The inequivalent atoms are K at (0.000, 0.000, 0.000), Ti at (0.500, 0.500, 0.498), O at (0.000, 0.500, 0.610) and O at (0.500, 0.500, 0.198).

For the total energy, the calculation gives -35.12 eV for the cell shown. Its magnetic moment is 1.00 μB per formula unit. The value obtained for the density is 2.851 g/cm3. As for the calculated formation energy: -1286.5 kJ/mol of formula units. Its volume is 78.6 Å³ per cell.

(2)
A geometry-optimized Dy2IrAu structure. Source: the Materials Project, functional PBE.

It has space group Fm-3m (No. 225), with a = 7.026 Å, b = 7.026 Å, c = 7.026 Å, α = 90.00°, β = 90.00° and γ = 90.00°. The inequivalent atoms are Dy at (0.250, 0.250, 0.250), Ir at (0.000, 0.000, 0.000) and Au at (0.000, 0.000, 0.500).

For the total energy, the calculation gives -98.75 eV for the cell shown. The value obtained for the density is 13.674 g/cm3. As for the calculated formation energy: -324.4 kJ/mol of formula units. Its volume is 346.9 Å³ per cell.

(3)
A geometry-optimized CsTiCl3 structure. Source: the Materials Project, functional PBE.

It has space group P6_3/mmc (No. 194), with a = 7.6564 Å, b = 7.6564 Å, c = 5.6721 Å, α = 90.00°, β = 90.00° and γ = 120.00°. The inequivalent atoms are Cs at (0.3333, 0.6667, 0.2500), Ti at (0.0000, 0.0000, 0.0000) and Cl at (0.1574, 0.3148, 0.7500).

For the total energy, the calculation gives -45.56 eV for the cell shown. The value obtained for the density is 3.312 g/cm3. As for the calculated formation energy: -992.4 kJ/mol of formula units. Its volume is 288.0 Å³ per cell.

(4)
A geometry-optimized NaGaS2O8 structure. Source: the Materials Project, functional PBE.

It has space group C2/m (No. 12), with a = 7.996 Å, b = 5.166 Å, c = 7.298 Å, α = 90.00°, β = 92.84° and γ = 90.00°. The inequivalent atoms are Na at (0.000, 0.000, 0.000), Ga at (0.000, 0.000, 0.500), S at (0.135, 0.500, 0.285), O at (0.025, 0.264, 0.301), O at (0.209, 0.500, 0.108) and O at (0.242, 0.000, 0.554).

For the total energy, the calculation gives -142.38 eV for the cell shown. Its magnetic moment is 0.00 μB per formula unit. The value obtained for the density is 3.142 g/cm3. As for the calculated formation energy: -2361.6 kJ/mol of formula units. Its volume is 301.0 Å³ per cell.